(1)
The following is a DFT calculation (PBE) of a relaxed structure of Ta10Zn2Si9S9O72.

Values from the calculation:
formation energy from the elements = -275.0 eV/f.u.
energy = -7.73 eV/atom

Cell: 8.8491 8.8850 22.7993 Å, 89.74 89.90 60.14°
Atoms (fractional coordinates):
Ta (0.0000, 0.0000, 0.0000)
Ta (0.0000, 0.0111, 0.4989)
Ta (0.3229, 0.3400, 0.3847)
Ta (0.3471, 0.3408, 0.8884)
Ta (0.6658, 0.6747, 0.5461)
Ta (0.6667, 0.6661, 0.8417)
Ta (0.6739, 0.6707, 0.3371)
Ta (0.6760, 0.6756, 0.0499)
Ta (0.9945, 0.0148, 0.7189)
Ta (0.9971, 0.0105, 0.2148)
Zn (0.3067, 0.3602, 0.1675)
Zn (0.3394, 0.3476, 0.6749)
Si (0.0066, 0.7177, 0.1105)
Si (0.0483, 0.3411, 0.2732)
Si (0.3845, 0.6783, 0.9465)
Si (0.3875, 0.9573, 0.4418)
Si (0.6085, 0.3538, 0.7732)
Si (0.6604, 0.3954, 0.4424)
Si (0.6676, 0.9544, 0.9427)
Si (0.9494, 0.6766, 0.4429)
Si (0.9547, 0.3895, 0.9451)
S (0.0024, 0.2948, 0.6107)
S (0.0429, 0.6304, 0.7741)
S (0.2832, 0.7264, 0.6098)
S (0.2863, 0.0074, 0.1091)
S (0.3345, 0.6313, 0.2754)
S (0.3356, 0.0546, 0.7744)
S (0.6177, 0.0585, 0.2749)
S (0.7134, 0.2945, 0.1099)
S (0.7155, 0.0080, 0.6098)
O (0.0124, 0.8344, 0.0546)
O (0.0210, 0.1708, 0.2654)
O (0.0226, 0.1859, 0.5587)
O (0.0275, 0.8107, 0.7637)
O (0.1113, 0.5291, 0.7209)
O (0.1286, 0.3794, 0.2182)
O (0.1395, 0.3721, 0.9255)
O (0.1414, 0.5117, 0.4322)
O (0.1534, 0.5573, 0.8261)
O (0.1540, 0.3133, 0.6191)
O (0.1686, 0.3141, 0.3334)
O (0.1743, 0.8203, 0.5575)
O (0.1747, 0.0302, 0.7645)
O (0.1747, 0.0340, 0.0571)
O (0.1752, 0.8095, 0.2679)
O (0.1796, 0.5382, 0.1114)
O (0.1937, 0.8487, 0.9532)
O (0.1940, 0.9852, 0.4578)
O (0.1963, 0.9839, 0.1628)
O (0.2002, 0.8375, 0.6624)
O (0.2945, 0.1655, 0.8263)
O (0.2970, 0.5577, 0.6139)
O (0.3032, 0.5528, 0.3287)
O (0.3132, 0.1529, 0.1161)
O (0.3581, 0.5117, 0.9321)
O (0.3588, 0.1294, 0.7207)
O (0.3675, 0.1480, 0.4333)
O (0.3740, 0.5265, 0.2237)
O (0.4542, 0.8409, 0.1036)
O (0.4582, 0.7133, 0.6028)
O (0.4697, 0.8385, 0.3855)
O (0.4711, 0.7076, 0.8865)
O (0.4829, 0.6634, 0.2874)
O (0.4842, 0.8791, 0.7838)
O (0.4942, 0.1462, 0.9328)
O (0.4973, 0.3705, 0.4284)
O (0.5062, 0.3819, 0.7139)
O (0.5059, 0.6414, 0.0028)
O (0.5060, 0.8672, 0.5017)
O (0.5180, 0.1315, 0.2224)
O (0.5216, 0.3148, 0.8309)
O (0.5408, 0.1674, 0.3285)
O (0.5443, 0.1575, 0.6157)
O (0.5477, 0.3059, 0.1196)
O (0.6324, 0.8680, 0.0003)
O (0.6339, 0.5148, 0.5016)
O (0.6434, 0.8811, 0.2862)
O (0.6498, 0.5104, 0.7864)
O (0.6973, 0.8410, 0.8837)
O (0.7004, 0.4837, 0.3871)
O (0.7019, 0.4672, 0.1039)
O (0.7088, 0.8440, 0.6038)
O (0.7988, 0.0367, 0.2691)
O (0.8023, 0.1893, 0.0578)
O (0.8066, 0.0297, 0.5582)
O (0.8116, 0.1746, 0.7631)
O (0.8229, 0.7119, 0.1020)
O (0.8260, 0.7149, 0.3867)
O (0.8299, 0.4802, 0.8870)
O (0.8303, 0.9818, 0.6627)
O (0.8303, 0.9871, 0.9528)
O (0.8310, 0.2114, 0.1638)
O (0.8318, 0.2071, 0.4587)
O (0.8393, 0.4662, 0.6044)
O (0.8525, 0.5082, 0.2884)
O (0.8600, 0.6444, 0.5019)
O (0.8638, 0.5167, 0.0011)
O (0.8635, 0.6661, 0.7840)
O (0.9710, 0.8454, 0.4579)
O (0.9715, 0.8504, 0.1673)
O (0.9734, 0.2038, 0.9585)
O (0.9750, 0.2058, 0.6634)

=====

(2)
The following is a DFT calculation (PBE) of a relaxed structure of CsReO2.

Values from the calculation:
formation energy from the elements = -3.7 eV/f.u.
energy = -6.39 eV/atom

Cell: 8.6443 8.6443 8.6443 Å, 133.92 133.92 67.21°
Atoms (fractional coordinates):
Cs (0.0000, 0.0000, 0.0000)
Cs (0.5000, 0.0000, 0.0000)
Cs (0.5000, 0.0000, 0.5000)
Cs (0.5000, 0.5000, 0.5000)
Re (0.0000, 0.0000, 0.5000)
Re (0.0000, 0.5000, 0.0000)
Re (0.0000, 0.5000, 0.5000)
Re (0.5000, 0.5000, 0.0000)
O (0.1582, 0.2318, 0.9106)
O (0.1788, 0.7524, 0.4106)
O (0.2524, 0.3418, 0.5737)
O (0.2682, 0.6788, 0.9263)
O (0.7318, 0.3212, 0.0737)
O (0.7476, 0.6582, 0.4263)
O (0.8212, 0.2476, 0.5894)
O (0.8418, 0.7682, 0.0894)